1.
The following is a DFT calculation (PBE) of a relaxed structure of U3Al2Ge3.

Values from the calculation:
Crystal system: tetragonal
Magnetic moment (μB/f.u.): 7.60
E (eV per atom): -7.118
SG: I4cm

Lattice parameters (Å, degrees): 7.7941 7.7941 7.7941 120.56 120.56 89.03
Atoms (fractional coordinates):
Al 0.1943 0.6943 0.2263
Al 0.6943 0.4680 0.5000
Al 0.9680 0.1943 0.5000
Al 0.4680 0.9680 0.7737
Ge 0.4953 0.4953 0.0000
Ge 0.5553 0.0553 0.1958
Ge 0.8595 0.3595 0.8042
Ge 0.0553 0.8595 0.5000
Ge 0.3595 0.5553 0.5000
Ge 0.9953 0.9953 0.0000
U 0.6768 0.8638 0.5000
U 0.2465 0.2465 0.0000
U 0.7465 0.7465 0.0000
U 0.1768 0.6768 0.8130
U 0.8638 0.3638 0.1870
U 0.3638 0.1768 0.5000

2.
The following is a DFT calculation (PBE) of a relaxed structure of Al3GeW2.

Values from the calculation:
Crystal system: triclinic
Magnetic moment (μB/f.u.): 0.00
E (eV per atom): -7.063
SG: P1

Lattice parameters (Å, degrees): 4.8581 4.8654 13.4600 90.17 89.97 119.91
Atoms (fractional coordinates):
Al 0.3022 0.1516 0.4166
Al 0.2973 0.1527 0.9145
Al 0.1880 0.8151 0.7515
Al 0.1743 0.3500 0.5831
Al 0.1742 0.8253 0.2516
Al 0.6304 0.8201 0.9155
Al 0.6352 0.8162 0.4168
Al 0.1759 0.3535 0.0815
Al 0.8609 0.1490 0.7525
Ge 0.8506 0.7036 0.0818
Ge 0.8547 0.7005 0.5826
Ge 0.8502 0.1551 0.2520
W 0.5175 0.0414 0.0866
W 0.5222 0.0418 0.5850
W 0.9665 0.4833 0.4167
W 0.5154 0.4828 0.2463
W 0.5258 0.4763 0.7466
W 0.9587 0.4819 0.9189

3.
The following is a DFT calculation (PBE) of a relaxed structure of Y2AlGe3.

Values from the calculation:
Crystal system: orthorhombic
Magnetic moment (μB/f.u.): 0.00
E (eV per atom): -5.740
SG: Pnma

Lattice parameters (Å, degrees): 4.2159 6.8401 17.7549 90.00 90.00 90.00
Atoms (fractional coordinates):
Y 0.7500 0.8327 0.2961
Y 0.2500 0.6673 0.7961
Y 0.2500 0.6690 0.5854
Y 0.7500 0.3327 0.2039
Y 0.7500 0.3310 0.4146
Y 0.2500 0.1673 0.7039
Y 0.2500 0.1690 0.9146
Y 0.7500 0.8310 0.0854
Ge 0.7500 0.8551 0.6880
Ge 0.2500 0.6449 0.1880
Ge 0.2500 0.2499 0.5343
Ge 0.2500 0.7499 0.9657
Ge 0.7500 0.7501 0.4657
Ge 0.7500 0.4634 0.6730
Ge 0.2500 0.1449 0.3120
Ge 0.7500 0.3551 0.8120
Ge 0.2500 0.0366 0.1730
Ge 0.2500 0.5366 0.3270
Ge 0.7500 0.2501 0.0343
Ge 0.7500 0.9634 0.8270
Al 0.7500 0.5500 0.9358
Al 0.2500 0.9500 0.4358
Al 0.7500 0.0500 0.5642
Al 0.2500 0.4500 0.0642